Material: NaLa3TaP3S3O24
Method: DFT, GGA-PBE
State: optimized geometry

Calculated values
Its energy of formation is -2842 meV/atom. Its density is 3.3 g/cm³. The calculated volume is 17.38 Å³ per atom. Its crystal system is triclinic.

Structure (POSCAR):
```
NaLa3TaP3S3O24
1.0
9.309 -0.016 -0.011
-4.668 8.046 -0.019
-0.030 -0.070 24.393
Na La Ta P S O
3 9 3 9 9 72
Direct
0.005 0.033 0.998 Na
0.695 0.350 0.835 Na
0.664 0.349 0.333 Na
0.999 0.996 0.360 La
0.000 0.004 0.854 La
0.994 0.003 0.150 La
0.673 0.338 0.673 La
0.669 0.328 0.978 La
0.660 0.332 0.493 La
0.334 0.660 0.029 La
0.343 0.662 0.308 La
0.316 0.659 0.803 La
0.001 0.992 0.644 Ta
0.660 0.332 0.181 Ta
0.331 0.656 0.522 Ta
0.714 0.683 0.249 P
0.991 0.715 0.744 P
0.984 0.328 0.583 P
0.347 0.009 0.583 P
0.665 0.652 0.583 P
0.664 0.049 0.087 P
0.380 0.329 0.085 P
0.041 0.375 0.916 P
0.337 0.386 0.421 P
0.321 0.026 0.248 S
0.970 0.295 0.250 S
0.286 0.277 0.742 S
0.720 0.005 0.742 S
0.949 0.614 0.089 S
0.625 0.667 0.915 S
0.331 0.957 0.916 S
0.611 0.949 0.422 S
0.053 0.661 0.421 S
0.252 0.062 0.298 O
0.823 0.757 0.302 O
0.942 0.191 0.299 O
0.214 0.189 0.794 O
0.973 0.794 0.797 O
0.812 0.028 0.795 O
0.824 0.005 0.695 O
0.179 0.173 0.695 O
0.992 0.826 0.694 O
0.794 0.792 0.200 O
0.002 0.224 0.201 O
0.219 0.000 0.199 O
0.923 0.386 0.632 O
0.465 0.076 0.632 O
0.611 0.534 0.631 O
0.844 0.511 0.138 O
0.668 0.162 0.138 O
0.492 0.333 0.138 O
0.464 0.316 0.034 O
0.858 0.542 0.038 O
0.687 0.148 0.035 O
0.412 0.130 0.535 O
0.720 0.588 0.534 O
0.866 0.277 0.534 O
0.538 0.667 0.966 O
0.132 0.472 0.969 O
0.338 0.874 0.967 O
0.512 0.846 0.470 O
0.331 0.492 0.472 O
0.156 0.666 0.470 O
0.130 0.646 0.371 O
0.518 0.878 0.371 O
0.358 0.486 0.369 O
0.138 0.465 0.864 O
0.329 0.866 0.866 O
0.537 0.673 0.865 O
0.047 0.817 0.421 O
0.772 0.953 0.420 O
0.173 0.217 0.417 O
0.022 0.199 0.920 O
0.178 0.972 0.919 O
0.796 0.817 0.918 O
0.015 0.183 0.602 O
0.170 0.982 0.601 O
0.812 0.830 0.601 O
0.974 0.783 0.094 O
0.816 0.025 0.092 O
0.208 0.174 0.091 O
0.695 0.150 0.737 O
0.453 0.296 0.736 O
0.838 0.540 0.737 O
0.695 0.506 0.236 O
0.815 0.306 0.240 O
0.492 0.180 0.239 O
0.641 0.515 0.912 O
0.866 0.357 0.912 O
0.479 0.128 0.912 O
0.638 0.120 0.428 O
0.490 0.364 0.429 O
0.884 0.514 0.427 O
0.377 0.491 0.089 O
0.105 0.613 0.092 O
0.499 0.887 0.089 O
0.317 0.834 0.564 O
0.518 0.682 0.565 O
0.162 0.479 0.565 O
0.350 0.887 0.256 O
0.537 0.648 0.257 O
0.108 0.466 0.257 O
0.292 0.438 0.741 O
0.155 0.714 0.743 O
0.561 0.847 0.743 O
```

Material: Pr2Ga3Cu
Method: DFT, GGA-PBE
State: optimized geometry

Calculated values
Its energy of formation is -556 meV/atom. Its density is 6.9 g/cm³. The calculated volume is 22.27 Å³ per atom. Its crystal system is trigonal.

Structure (POSCAR):
```
Pr2Ga3Cu
1.0
2.238 -3.877 0.000
2.238 3.877 0.000
0.000 0.000 7.699
Pr Ga Cu
2 3 1
Direct
0.333 0.667 0.732 Pr
0.333 0.667 0.262 Pr
0.667 0.333 0.483 Ga
0.667 0.333 0.041 Ga
0.000 0.000 0.956 Ga
0.000 0.000 0.526 Cu
```

Material: BaLaI5
Method: DFT, GGA-PBE
State: optimized geometry

Calculated values
Its energy of formation is -1856 meV/atom. Its density is 3.7 g/cm³. The energy above the most stable polymorph in this dataset is 0.043 eV/atom. The calculated volume is 57.72 Å³ per atom. Its crystal system is monoclinic.

Structure (POSCAR):
```
BaLaI5
1.0
5.103 7.173 0.000
-5.103 7.173 0.000
0.000 5.180 11.038
Ba La I
2 2 10
Direct
0.451 0.549 0.250 Ba
0.549 0.451 0.750 Ba
0.000 0.000 0.500 La
0.000 0.000 0.000 La
0.741 0.783 0.124 I
0.705 0.321 0.031 I
0.783 0.741 0.624 I
0.097 0.903 0.250 I
0.679 0.295 0.469 I
0.321 0.705 0.531 I
0.903 0.097 0.750 I
0.217 0.259 0.376 I
0.295 0.679 0.969 I
0.259 0.217 0.876 I
```

Material: CaCuSb
Method: DFT, GGA-PBE
State: optimized geometry

Calculated values
Its energy of formation is -732 meV/atom. Its density is 5.3 g/cm³. The calculated volume is 23.62 Å³ per atom. Its crystal system is hexagonal.

Structure (POSCAR):
```
CaCuSb
1.0
2.445 1.429 -3.457
-0.707 -4.374 0.581
-6.772 0.485 -4.588
Ca Cu Sb
2 2 2
Direct
0.000 0.000 0.000 Ca
0.000 0.000 0.500 Ca
0.333 0.667 0.750 Cu
0.667 0.333 0.250 Cu
0.333 0.667 0.250 Sb
0.667 0.333 0.750 Sb
```